1.
First-principles (PBE-GGA) data for a geometry-optimized MnCuPt2 structure, as listed in the Materials Project database.

Summary:
energy relative to the elements: -0.261 eV/atom
crystal system: cubic
V: 13.8 Å³/atom
symmetry: Fm-3m

Lattice parameters (Å, degrees): 4.270 4.270 4.270 60.00 60.00 60.00
Sites, in units of the cell vectors:
Mn 0.000 0.000 0.000
Cu 0.500 0.500 0.500
Pt 0.250 0.250 0.250
Pt 0.750 0.750 0.750


2.
First-principles (PBE-GGA) data for a geometry-optimized Mn2CuSb2Pt structure, as listed in the Materials Project database.

Summary:
energy relative to the elements: -0.134 eV/atom
crystal system: trigonal
V: 19.8 Å³/atom
symmetry: R3m

Lattice parameters (Å, degrees): 7.583 7.583 7.583 33.60 33.60 33.60
Sites, in units of the cell vectors:
Mn 0.750 0.750 0.750
Mn 0.249 0.249 0.249
Cu 0.125 0.125 0.125
Sb 0.002 0.002 0.002
Sb 0.498 0.498 0.498
Pt 0.625 0.625 0.625


3.
First-principles (PBE-GGA) data for a geometry-optimized RbMnCuS2 structure, as listed in the Materials Project database.

Summary:
energy relative to the elements: -0.924 eV/atom
maximum piezoelectric response: 0.4 C/m2
crystal system: tetragonal
V: 22.0 Å³/atom
symmetry: I-4m2

Lattice parameters (Å, degrees): 7.422 7.422 7.422 148.71 148.71 44.83
Sites, in units of the cell vectors:
Rb 0.000 0.000 0.000
Mn 0.250 0.750 0.500
Cu 0.750 0.250 0.500
S 0.650 0.650 0.000
S 0.350 0.350 0.000


4.
First-principles (PBE-GGA) data for a geometry-optimized MnCu2S2 structure, as listed in the Materials Project database.

Summary:
energy relative to the elements: -0.403 eV/atom
crystal system: cubic
V: 16.4 Å³/atom
symmetry: F-43m

Lattice parameters (Å, degrees): 7.733 7.733 7.733 60.00 60.00 60.00
Sites, in units of the cell vectors:
Mn 0.602 0.133 0.133
Mn 0.133 0.602 0.133
Mn 0.133 0.133 0.602
Mn 0.133 0.133 0.133
Cu 0.261 0.261 0.739
Cu 0.739 0.739 0.261
Cu 0.261 0.739 0.261
Cu 0.739 0.261 0.739
Cu 0.739 0.261 0.261
Cu 0.261 0.739 0.739
Cu 0.750 0.750 0.750
Cu 0.500 0.500 0.500
S 0.375 0.875 0.875
S 0.875 0.375 0.875
S 0.875 0.875 0.375
S 0.875 0.875 0.875
S 0.889 0.370 0.370
S 0.370 0.889 0.370
S 0.370 0.370 0.889
S 0.370 0.370 0.370


5.
First-principles (PBE-GGA) data for a geometry-optimized MnCu2SiS4 structure, as listed in the Materials Project database.

Summary:
energy relative to the elements: -0.757 eV/atom
maximum piezoelectric response: 0.3 C/m2
crystal system: orthorhombic
V: 18.6 Å³/atom
symmetry: Pmn2_1

Lattice parameters (Å, degrees): 6.184 6.413 7.507 90.00 90.00 90.00
Sites, in units of the cell vectors:
Mn 0.330 0.155 0.000
Mn 0.830 0.845 0.500
Cu 0.321 0.678 0.748
Cu 0.821 0.322 0.752
Cu 0.321 0.678 0.252
Cu 0.821 0.322 0.248
Si 0.331 0.176 0.500
Si 0.831 0.824 0.000
S 0.982 0.188 0.500
S 0.482 0.812 0.000
S 0.450 0.336 0.267
S 0.950 0.664 0.233
S 0.941 0.143 0.000
S 0.441 0.857 0.500
S 0.450 0.336 0.733
S 0.950 0.664 0.767


6.
First-principles (PBE-GGA) data for a geometry-optimized MnCu2Sn3S8 structure, as listed in the Materials Project database.

Summary:
energy relative to the elements: -0.682 eV/atom
crystal system: trigonal
V: 20.6 Å³/atom
symmetry: R-3m

Lattice parameters (Å, degrees): 7.380 7.380 7.380 60.54 60.54 60.54
Sites, in units of the cell vectors:
Mn 0.000 0.000 0.000
Cu 0.381 0.381 0.381
Cu 0.619 0.619 0.619
Sn 0.000 0.500 0.000
Sn 0.000 0.000 0.500
Sn 0.500 0.000 0.000
S 0.758 0.237 0.758
S 0.749 0.749 0.749
S 0.763 0.242 0.242
S 0.242 0.242 0.763
S 0.242 0.763 0.242
S 0.251 0.251 0.251
S 0.237 0.758 0.758
S 0.758 0.758 0.237


7.
First-principles (PBE-GGA) data for a geometry-optimized Ti3MnCu2S8 structure, as listed in the Materials Project database.

Summary:
energy relative to the elements: -1.285 eV/atom
crystal system: trigonal
V: 17.9 Å³/atom
symmetry: R-3m

Lattice parameters (Å, degrees): 7.134 7.134 7.134 58.91 58.91 58.91
Sites, in units of the cell vectors:
Ti 0.000 0.500 0.500
Ti 0.500 0.500 0.000
Ti 0.500 0.000 0.500
Mn 0.500 0.500 0.500
Cu 0.125 0.125 0.125
Cu 0.875 0.875 0.875
S 0.746 0.746 0.746
S 0.268 0.744 0.744
S 0.744 0.744 0.268
S 0.744 0.268 0.744
S 0.254 0.254 0.254
S 0.732 0.256 0.256
S 0.256 0.256 0.732
S 0.256 0.732 0.256


8.
First-principles (PBE-GGA) data for a geometry-optimized ZrMnCu2S4 structure, as listed in the Materials Project database.

Summary:
energy relative to the elements: -0.881 eV/atom
crystal system: triclinic
V: 19.9 Å³/atom
symmetry: P1

Lattice parameters (Å, degrees): 4.735 6.522 6.215 64.95 90.05 68.72
Sites, in units of the cell vectors:
Zr 0.478 0.044 0.817
Mn 0.259 0.483 0.232
Cu 0.086 0.828 0.706
Cu 0.675 0.655 0.410
S 0.720 0.559 0.101
S 0.244 0.510 0.613
S 0.491 0.017 0.444
S 0.001 0.998 0.964


9.
First-principles (PBE-GGA) data for a geometry-optimized Mn2CuSb structure, as listed in the Materials Project database.

Summary:
energy relative to the elements: 0.231 eV/atom
crystal system: cubic
V: 15.1 Å³/atom
symmetry: F-43m

Lattice parameters (Å, degrees): 4.404 4.404 4.404 60.00 60.00 60.00
Sites, in units of the cell vectors:
Mn 0.000 0.000 0.000
Mn 0.250 0.250 0.250
Cu 0.500 0.500 0.500
Sb 0.750 0.750 0.750


10.
First-principles (PBE-GGA) data for a geometry-optimized MnTlCuSe2 structure, as listed in the Materials Project database.

Summary:
energy relative to the elements: -0.540 eV/atom
crystal system: tetragonal
V: 23.2 Å³/atom
symmetry: I-4m2

Lattice parameters (Å, degrees): 7.703 7.703 7.703 149.71 149.71 43.36
Sites, in units of the cell vectors:
Mn 0.750 0.250 0.500
Tl 0.000 0.000 0.000
Cu 0.250 0.750 0.500
Se 0.642 0.642 0.000
Se 0.358 0.358 0.000


11.
First-principles (PBE-GGA) data for a geometry-optimized MnCu4Sn structure, as listed in the Materials Project database.

Summary:
energy relative to the elements: 0.050 eV/atom
crystal system: cubic
V: 14.3 Å³/atom
symmetry: F-43m

Lattice parameters (Å, degrees): 4.945 4.945 4.945 60.00 60.00 60.00
Sites, in units of the cell vectors:
Mn 0.250 0.250 0.250
Cu 0.625 0.625 0.126
Cu 0.625 0.126 0.625
Cu 0.126 0.625 0.625
Cu 0.625 0.625 0.625
Sn 0.000 0.000 0.000


12.
First-principles (PBE-GGA) data for a geometry-optimized MnCu2Te2 structure, as listed in the Materials Project database.

Summary:
energy relative to the elements: -0.227 eV/atom
crystal system: cubic
V: 22.1 Å³/atom
symmetry: F-43m

Lattice parameters (Å, degrees): 8.551 8.551 8.551 60.00 60.00 60.00
Sites, in units of the cell vectors:
Mn 0.623 0.126 0.126
Mn 0.126 0.623 0.126
Mn 0.126 0.126 0.623
Mn 0.126 0.126 0.126
Cu 0.252 0.252 0.748
Cu 0.748 0.748 0.252
Cu 0.252 0.748 0.252
Cu 0.748 0.252 0.748
Cu 0.748 0.252 0.252
Cu 0.252 0.748 0.748
Cu 0.750 0.750 0.750
Cu 0.500 0.500 0.500
Te 0.382 0.873 0.873
Te 0.873 0.382 0.873
Te 0.873 0.873 0.382
Te 0.873 0.873 0.873
Te 0.890 0.370 0.370
Te 0.370 0.890 0.370
Te 0.370 0.370 0.890
Te 0.370 0.370 0.370